Entry 1:
# Li2CO3

A relaxed structure of Li2CO3 (PBE, Materials Project).

Values from the calculation:
- E above lowest polymorph: 0.067 eV/atom
- Total magnetic moment: 0.00 μB/f.u.
- ΔE_f: -50.3 kcal/mol of atoms
- Space group: P6_3/mcm, No. 193

a = 4.653 Å, b = 4.653 Å, c = 5.383 Å
α = 90.00°, β = 90.00°, γ = 120.00°
Fractional positions:
Li: 0.333 0.667 0.000
Li: 0.333 0.667 0.500
Li: 0.667 0.333 0.000
Li: 0.667 0.333 0.500
C: 0.000 0.000 0.250
C: 0.000 0.000 0.750
O: 0.000 0.280 0.250
O: 0.000 0.720 0.750
O: 0.280 0.000 0.250
O: 0.280 0.280 0.750
O: 0.720 0.000 0.750
O: 0.720 0.720 0.250

---

Entry 2:
# Li2CO3

A relaxed structure of Li2CO3 (PBE, Materials Project).

Values from the calculation:
- E above lowest polymorph: 0.000 eV/atom
- ΔE_f: -51.8 kcal/mol of atoms
- Space group: C2/c, No. 15

a = 4.907 Å, b = 4.907 Å, c = 6.348 Å
α = 110.62°, β = 110.62°, γ = 61.86°
Fractional positions:
Li: 0.148 0.250 0.339
Li: 0.250 0.148 0.839
Li: 0.750 0.852 0.161
Li: 0.852 0.750 0.661
C: 0.435 0.565 0.250
C: 0.565 0.435 0.750
O: 0.180 0.820 0.250
O: 0.288 0.418 0.685
O: 0.418 0.288 0.185
O: 0.582 0.712 0.815
O: 0.712 0.582 0.315
O: 0.820 0.180 0.750

---

Entry 3:
# LiPrPCO7

A relaxed structure of LiPrPCO7 (PBE, Materials Project).

Values from the calculation:
- Total magnetic moment: 1.00 μB/f.u.
- ΔE_f: -60.3 kcal/mol of atoms
- Space group: P2_1, No. 4

a = 4.942 Å, b = 7.089 Å, c = 9.490 Å
α = 90.00°, β = 94.82°, γ = 90.00°
Fractional positions:
Li: 0.250 0.000 0.225
Li: 0.750 0.500 0.775
Pr: 0.262 0.168 0.628
Pr: 0.738 0.668 0.372
P: 0.228 0.666 0.604
P: 0.772 0.166 0.396
C: 0.221 0.228 0.940
C: 0.779 0.728 0.060
O: 0.023 0.265 0.846
O: 0.081 0.127 0.388
O: 0.187 0.175 0.064
O: 0.259 0.682 0.439
O: 0.314 0.852 0.677
O: 0.394 0.496 0.663
O: 0.460 0.241 0.897
O: 0.540 0.741 0.103
O: 0.606 0.996 0.337
O: 0.686 0.352 0.323
O: 0.741 0.182 0.561
O: 0.813 0.675 0.936
O: 0.919 0.627 0.612
O: 0.977 0.765 0.154

---

Entry 4:
# Li2SbPCO7

A relaxed structure of Li2SbPCO7 (PBE, Materials Project).

Values from the calculation:
- E above lowest polymorph: 0.000 eV/atom
- Total magnetic moment: 0.00 μB/f.u.
- ΔE_f: -52.4 kcal/mol of atoms
- Space group: P2_1/m, No. 11

a = 5.085 Å, b = 6.691 Å, c = 9.312 Å
α = 90.00°, β = 92.91°, γ = 90.00°
Fractional positions:
Li: 0.234 0.044 0.205
Li: 0.234 0.456 0.205
Li: 0.766 0.544 0.795
Li: 0.766 0.956 0.795
Sb: 0.180 0.250 0.628
Sb: 0.820 0.750 0.372
P: 0.255 0.750 0.625
P: 0.745 0.250 0.375
C: 0.215 0.250 0.913
C: 0.785 0.750 0.087
O: 0.008 0.750 0.172
O: 0.101 0.566 0.680
O: 0.101 0.934 0.680
O: 0.205 0.250 0.048
O: 0.228 0.750 0.454
O: 0.430 0.250 0.843
O: 0.456 0.250 0.325
O: 0.544 0.750 0.675
O: 0.570 0.750 0.157
O: 0.772 0.250 0.546
O: 0.795 0.750 0.952
O: 0.899 0.066 0.320
O: 0.899 0.434 0.320
O: 0.992 0.250 0.828